# Dy2MgS4 (meta-GGA r2SCAN, relaxed)
# **Final energy**: -16.481 eV per atom
# **ΔH_f (0 K)**: -2157 meV/atom
data_Dy2MgS4
_chemical_formula_sum 'Dy8 Mg4 S16'
_space_group_name_H-M_alt 'P n m a'
_space_group_IT_number 62
_space_group_name_Hall '-P 2ac 2n'
_cell_length_a 13.4287
_cell_length_b 7.8672
_cell_length_c 6.5053
_cell_angle_alpha 90.00
_cell_angle_beta 90.00
_cell_angle_gamma 90.00
loop_
_atom_site_label
_atom_site_fract_x
_atom_site_fract_y
_atom_site_fract_z
Dy1 0.0000 0.0000 0.0000
Dy2 0.2310 0.2500 0.4905
Mg1 0.0967 0.7500 0.4186
S1 0.0696 0.2500 0.7439
S2 0.0900 0.7500 0.7854
S3 0.1707 0.5094 0.2348